<one>
DFT (GGA-PBE) results for RbMg14CO16 after structural relaxation.

**Magnetic moment**: 0.992 Bohr magnetons per cell

Cell: 4.5803 8.1462 9.1550 Å, 90.00 90.00 90.00°
With the nearest neighbours (Å) after each atom.
Space group Pmmm (No. 47)
Symmetry-distinct sites (fractional):
1 Rb 0.0000 0.0000 0.0000 x1  4 O 2.29-2.56
2 Mg 0.0000 0.0000 0.5000 x1  4 O 2.02-2.03
3 Mg 0.0000 0.2545 0.2747 x4  3 O 2.00-2.07
4 Mg 0.0000 0.5000 0.5000 x1  4 O 2.02-2.04
5 Mg 0.5000 0.0000 0.2570 x2  3 O 2.03-2.23
6 Mg 0.5000 0.2517 0.5000 x2  2 O 2.02-2.05
7 Mg 0.5000 0.2582 0.0000 x2  2 O 1.97-2.10
8 Mg 0.5000 0.5000 0.2481 x2  3 O 2.04-2.27
9 C 0.0000 0.5000 0.0000 x1  2 O 1.30
10 O 0.0000 0.0000 0.2794 x2  3 Mg 2.02-2.07
11 O 0.0000 0.2498 0.5000 x2  4 Mg 2.03-2.06
12 O 0.0000 0.3409 0.0000 x2  1 C 1.30
13 O 0.0000 0.5000 0.2792 x2  3 Mg 2.00-2.02
14 O 0.5000 0.0000 0.0000 x1  4 Mg 2.10-2.35, 2 Rb 2.29
15 O 0.5000 0.0000 0.5000 x1  6 Mg 2.05-2.29
16 O 0.5000 0.2494 0.2451 x4  3 Mg 2.03-2.24
17 O 0.5000 0.5000 0.0000 x1  2 Mg 1.97
18 O 0.5000 0.5000 0.5000 x1  2 Mg 2.02

***

<two>
DFT (GGA-PBE) results for RbMg14CO16 after structural relaxation.

**Magnetic moment**: 0.304 Bohr magnetons per cell

Cell: 8.7565 8.7565 4.2884 Å, 90.00 90.00 90.00°
With the nearest neighbours (Å) after each atom.
Space group P4/mmm (No. 123)
Symmetry-distinct sites (fractional):
1 Rb 0.0000 0.0000 0.0000 x1  2 O 2.14
2 Mg 0.0000 0.2641 0.5000 x4  6 O 2.07-2.31
3 Mg 0.0000 0.5000 0.0000 x2  4 O 1.93-2.14
4 Mg 0.2551 0.2551 0.0000 x4  6 O 2.14-2.24
5 Mg 0.2551 0.5000 0.5000 x4  6 O 2.14-2.23
6 C 0.5000 0.5000 0.0000 x1  6 O 2.10-2.14
7 O 0.0000 0.0000 0.5000 x1  2 Rb 2.14, 4 Mg 2.31
8 O 0.0000 0.2799 0.0000 x4  3 Mg 1.93-2.15
9 O 0.0000 0.5000 0.5000 x2  6 Mg 2.07-2.23
10 O 0.2505 0.2505 0.5000 x4  6 Mg 2.14-2.20
11 O 0.2605 0.5000 0.0000 x4  1 C 2.10, 5 Mg 2.14-2.28
12 O 0.5000 0.5000 0.5000 x1  2 C 2.14, 4 Mg 2.14

***

Relative energies with respect to the most stable structure, expressed in meV/atom: <one> 0; <two> 58.

***

<one>
DFT (GGA-PBE) results for Mg14SiCO16 after structural relaxation.

**Magnetic moment**: 0.000 Bohr magnetons per cell

Cell: 4.1961 8.4060 8.7675 Å, 90.00 90.00 90.00°
With the nearest neighbours (Å) after each atom.
Space group Pmmm (No. 47)
Symmetry-distinct sites (fractional):
1 Mg 0.0000 0.0000 0.0000 x1  4 O 1.98-2.10
2 Mg 0.0000 0.0000 0.5000 x1  6 O 2.10-2.29
3 Mg 0.0000 0.2584 0.2374 x4  6 O 2.09-2.31
4 Mg 0.5000 0.0000 0.2466 x2  6 O 2.10-2.22
5 Mg 0.5000 0.2517 0.5000 x2  6 O 2.09-2.20
6 Mg 0.5000 0.2552 0.0000 x2  6 O 2.06-2.19
7 Mg 0.5000 0.5000 0.2345 x2  5 O 2.06-2.20
8 Si 0.0000 0.5000 0.5000 x1  2 O 1.67
9 C 0.0000 0.5000 0.0000 x1  4 O 2.10-2.22
10 O 0.0000 0.0000 0.2583 x2  6 Mg 2.10-2.26
11 O 0.0000 0.2359 0.0000 x2  5 Mg 1.98-2.10, 1 C 2.22
12 O 0.0000 0.2719 0.5000 x2  1 Si 1.92, 2 Mg 2.10
13 O 0.0000 0.5000 0.3095 x2  1 Si 1.67
14 O 0.5000 0.0000 0.0000 x1  6 Mg 2.10-2.16
15 O 0.5000 0.0000 0.5000 x1  6 Mg 2.10-2.22
16 O 0.5000 0.2533 0.2495 x4  6 Mg 2.08-2.20
17 O 0.5000 0.5000 0.0000 x1  4 Mg 2.06, 2 C 2.10
18 O 0.5000 0.5000 0.5000 x1  4 Mg 2.09-2.33, 2 Si 2.10

***

<two>
DFT (GGA-PBE) results for Mg14SiCO16 after structural relaxation.

**Magnetic moment**: 0.000 Bohr magnetons per cell

Cell: 8.5129 8.5129 4.3068 Å, 90.00 90.00 90.00°
With the nearest neighbours (Å) after each atom.
Space group P4/mmm (No. 123)
Symmetry-distinct sites (fractional):
1 Mg 0.0000 0.2416 0.0000 x4  6 O 2.06-2.20
2 Mg 0.0000 0.5000 0.5000 x2  6 O 2.05-2.17
3 Mg 0.2433 0.2433 0.5000 x4  6 O 2.08-2.19
4 Mg 0.2453 0.5000 0.0000 x4  6 O 2.09-2.17
5 Si 0.5000 0.5000 0.5000 x1  6 O 2.09-2.15
6 C 0.0000 0.0000 0.5000 x1  6 O 2.15-2.21
7 O 0.0000 0.0000 0.0000 x1  4 Mg 2.06, 2 C 2.15
8 O 0.0000 0.2593 0.5000 x4  5 Mg 2.05-2.16, 1 C 2.21
9 O 0.0000 0.5000 0.0000 x2  6 Mg 2.09-2.20
10 O 0.2503 0.2503 0.0000 x4  6 Mg 2.13-2.16
11 O 0.2547 0.5000 0.5000 x4  1 Si 2.09, 5 Mg 2.15-2.19
12 O 0.5000 0.5000 0.0000 x1  2 Si 2.15, 4 Mg 2.17

***

Relative energies with respect to the most stable structure, expressed in meV/atom: <one> 0; <two> 85.

***

<one>
DFT (GGA-PBE) results for Mg30SnCO32 after structural relaxation.

**Magnetic moment**: 0.025 Bohr magnetons per cell

Cell: 8.5558 8.5558 8.6447 Å, 90.00 90.00 90.00°
With the nearest neighbours (Å) after each atom.
Space group P4/mmm (No. 123)
Symmetry-distinct sites (fractional):
1 Mg 0.0000 0.0000 0.0000 x1  6 O 2.14-2.16
2 Mg 0.0000 0.0000 0.5000 x1  6 O 2.12-2.16
3 Mg 0.0000 0.2502 0.2489 x8  6 O 2.14-2.17
4 Mg 0.0000 0.5000 0.0000 x2  6 O 2.08-2.14
5 Mg 0.0000 0.5000 0.5000 x2  6 O 2.02-2.18
6 Mg 0.2458 0.2458 0.5000 x4  6 O 2.10-2.18
7 Mg 0.2485 0.5000 0.2428 x8  6 O 2.10-2.23
8 Mg 0.2522 0.2522 0.0000 x4  6 O 2.12-2.16
9 Sn 0.5000 0.5000 0.5000 x1  6 O 2.11-2.26
10 C 0.5000 0.5000 0.0000 x1  6 O 2.20-2.21
11 O 0.0000 0.0000 0.2499 x2  6 Mg 2.14-2.16
12 O 0.0000 0.2478 0.5000 x4  6 Mg 2.10-2.17
13 O 0.0000 0.2496 0.0000 x4  6 Mg 2.14-2.16
14 O 0.0000 0.5000 0.2481 x4  6 Mg 2.13-2.18
15 O 0.2357 0.5000 0.5000 x4  5 Mg 2.02-2.23
16 O 0.2429 0.5000 0.0000 x4  5 Mg 2.08-2.12, 1 C 2.20
17 O 0.2509 0.2509 0.2502 x8  6 Mg 2.13-2.16
18 O 0.5000 0.5000 0.2554 x2  1 Sn 2.11, 4 Mg 2.15, 1 C 2.21

***

<two>
DFT (GGA-PBE) results for Mg30SnCO32 after structural relaxation.

**Magnetic moment**: 0.010 Bohr magnetons per cell

Cell: 8.5886 8.5886 8.5873 Å, 90.00 90.00 90.00°
With the nearest neighbours (Å) after each atom.
Space group P4/mmm (No. 123)
Symmetry-distinct sites (fractional):
1 Mg 0.0000 0.0000 0.0000 x1  6 O 2.13
2 Mg 0.0000 0.2479 0.2514 x8  6 O 2.13-2.17
3 Mg 0.0000 0.5000 0.0000 x2  6 O 2.12-2.16
4 Mg 0.0000 0.5000 0.5000 x2  6 O 1.97-2.18
5 Mg 0.2436 0.2436 0.5000 x4  6 O 2.09-2.21
6 Mg 0.2452 0.5000 0.2459 x8  6 O 2.11-2.19
7 Mg 0.2492 0.2492 0.0000 x4  6 O 2.14-2.16
8 Mg 0.5000 0.5000 0.0000 x1  6 O 1.98-2.18
9 Sn 0.5000 0.5000 0.5000 x1  6 O 2.32
10 C 0.0000 0.0000 0.5000 x1  6 O 2.15-2.16
11 O 0.0000 0.0000 0.2479 x2  5 Mg 2.13, 1 C 2.16
12 O 0.0000 0.2484 0.0000 x4  6 Mg 2.13-2.16
13 O 0.0000 0.2500 0.5000 x4  5 Mg 2.09-2.15, 1 C 2.15
14 O 0.0000 0.5000 0.2466 x4  6 Mg 2.11-2.18
15 O 0.2299 0.5000 0.5000 x4  5 Mg 1.97-2.21
16 O 0.2466 0.5000 0.0000 x4  6 Mg 2.11-2.18
17 O 0.2497 0.2497 0.2510 x8  6 Mg 2.14-2.16
18 O 0.5000 0.5000 0.2300 x2  5 Mg 1.98-2.19

***

Relative energies with respect to the most stable structure, expressed in meV/atom: <one> 0; <two> 6.

***

<one>
DFT (GGA-PBE) results for Mg14SnCO16 after structural relaxation.

**Magnetic moment**: 0.667 Bohr magnetons per cell

Cell: 4.2843 8.5807 8.7991 Å, 90.00 90.00 90.00°
With the nearest neighbours (Å) after each atom.
Space group Pmmm (No. 47)
Symmetry-distinct sites (fractional):
1 Mg 0.0000 0.0000 0.0000 x1  6 O 2.05-2.19
2 Mg 0.0000 0.0000 0.5000 x1  6 O 2.04-2.21
3 Mg 0.0000 0.2492 0.2390 x4  6 O 2.10-2.30
4 Mg 0.5000 0.0000 0.2452 x2  6 O 2.14-2.24
5 Mg 0.5000 0.2401 0.5000 x2  6 O 2.06-2.23
6 Mg 0.5000 0.2543 0.0000 x2  6 O 2.11-2.19
7 Mg 0.5000 0.5000 0.2309 x2  5 O 2.03-2.16
8 Sn 0.0000 0.5000 0.5000 x1  6 O 2.10-2.25
9 C 0.0000 0.5000 0.0000 x1  6 O 2.14-2.30
10 O 0.0000 0.0000 0.2487 x2  6 Mg 2.14-2.21
11 O 0.0000 0.2378 0.5000 x2  3 Mg 2.04-2.14, 1 Sn 2.25
12 O 0.0000 0.2395 0.0000 x2  5 Mg 2.05-2.15, 1 C 2.24
13 O 0.0000 0.5000 0.2613 x2  1 Sn 2.10, 4 Mg 2.16, 1 C 2.30
14 O 0.5000 0.0000 0.0000 x1  6 Mg 2.14-2.18
15 O 0.5000 0.0000 0.5000 x1  6 Mg 2.06-2.24
16 O 0.5000 0.2511 0.2493 x4  6 Mg 2.14-2.21
17 O 0.5000 0.5000 0.0000 x1  4 Mg 2.03-2.11, 2 C 2.14
18 O 0.5000 0.5000 0.5000 x1  2 Sn 2.14, 4 Mg 2.23-2.37

***

<two>
DFT (GGA-PBE) results for Mg14SnCO16 after structural relaxation.

Cell: 8.6315 8.6315 4.3551 Å, 90.00 90.00 90.00°
With the nearest neighbours (Å) after each atom.
Space group P4/mmm (No. 123)
Symmetry-distinct sites (fractional):
1 Mg 0.0000 0.2410 0.0000 x4  6 O 2.08-2.24
2 Mg 0.0000 0.5000 0.5000 x2  6 O 2.04-2.18
3 Mg 0.2372 0.5000 0.0000 x4  6 O 2.05-2.27
4 Mg 0.2398 0.2398 0.5000 x4  6 O 2.08-2.25
5 Sn 0.5000 0.5000 0.5000 x1  6 O 2.18-2.27
6 C 0.0000 0.0000 0.5000 x1  6 O 2.18-2.21
7 O 0.0000 0.0000 0.0000 x1  4 Mg 2.08, 2 C 2.18
8 O 0.0000 0.2566 0.5000 x4  5 Mg 2.08-2.18, 1 C 2.21
9 O 0.0000 0.5000 0.0000 x2  6 Mg 2.05-2.24
10 O 0.2369 0.5000 0.5000 x4  5 Mg 2.04-2.25, 1 Sn 2.27
11 O 0.2504 0.2504 0.0000 x4  6 Mg 2.16-2.18
12 O 0.5000 0.5000 0.0000 x1  2 Sn 2.18, 4 Mg 2.27

***

Relative energies with respect to the most stable structure, expressed in meV/atom: <one> 0; <two> 13.

***

<one>
DFT (GGA-PBE) results for SrMg6CO8 after structural relaxation.

**Magnetic moment**: 0.000 Bohr magnetons per cell

Cell: 4.4651 4.4651 8.6529 Å, 90.00 90.00 90.00°
With the nearest neighbours (Å) after each atom.
Space group P4/mmm (No. 123)
Symmetry-distinct sites (fractional):
1 Sr 0.0000 0.0000 0.0000 x1  6 O 2.23-2.38
2 Mg 0.0000 0.5000 0.2645 x4  5 O 2.04-2.23
3 Mg 0.5000 0.5000 0.0000 x1  6 O 2.19-2.23
4 Mg 0.5000 0.5000 0.5000 x1  6 O 2.14-2.23
5 C 0.0000 0.0000 0.5000 x1  2 O 1.95
6 O 0.0000 0.0000 0.2748 x2  1 C 1.95
7 O 0.0000 0.5000 0.0000 x2  4 Mg 2.23-2.29, 2 Sr 2.23
8 O 0.0000 0.5000 0.5000 x2  4 Mg 2.04-2.23, 2 C 2.23
9 O 0.5000 0.5000 0.2531 x2  6 Mg 2.14-2.23

***

<two>
DFT (GGA-PBE) results for SrMg6CO8 after structural relaxation.

**Magnetic moment**: 0.000 Bohr magnetons per cell

Cell: 4.4398 4.4398 8.7414 Å, 90.00 90.00 90.00°
With the nearest neighbours (Å) after each atom.
Space group P4/mmm (No. 123)
Symmetry-distinct sites (fractional):
1 Sr 0.0000 0.0000 0.0000 x1  6 O 2.22-2.38
2 Mg 0.0000 0.0000 0.5000 x1  6 O 1.99-2.22
3 Mg 0.0000 0.5000 0.2578 x4  6 O 2.12-2.25
4 Mg 0.5000 0.5000 0.5000 x1  6 O 2.16-2.22
5 C 0.5000 0.5000 0.0000 x1  6 O 2.21-2.22
6 O 0.0000 0.0000 0.2724 x2  5 Mg 1.99-2.22
7 O 0.0000 0.5000 0.0000 x2  2 Sr 2.22, 2 C 2.22, 2 Mg 2.25
8 O 0.0000 0.5000 0.5000 x2  6 Mg 2.12-2.22
9 O 0.5000 0.5000 0.2528 x2  5 Mg 2.16-2.22, 1 C 2.21

***

Relative energies with respect to the most stable structure, expressed in meV/atom: <one> 7; <two> 0.